[1]
Entry from Materials Project: a relaxed structure of Fe5C2 (PBE-GGA).

```
Fe5C2
1.0
-4.5389 -4.2419 0.3722
-3.3026 -2.8111 4.4637
-3.8282 3.2000 0.0376
Fe C
10 4
Cartesian
-0.9863 -0.3091 0.8201 Fe
-3.1065 1.0523 0.1566 Fe
-5.4447 0.4618 1.0770 Fe
-8.3417 -2.9492 3.1452 Fe
-4.7947 -2.6303 2.7024 Fe
-6.8750 -1.2227 2.1711 Fe
-8.5632 -4.9054 4.7168 Fe
-6.2251 -4.3148 3.7965 Fe
-3.3281 -0.9038 1.7283 Fe
-10.6835 -3.5440 4.0534 Fe
-6.6494 -3.2413 2.2214 C
-3.5649 -2.7427 1.1151 C
-5.0203 -0.6118 2.6521 C
-8.1048 -1.1103 3.7584 C
```

Properties
space-group type	C2/c (15)
energy above the most stable polymorph in this dataset	0	meV/atom
ΔE_f	0.06	eV/atom

=====

[2]
Entry from Materials Project: a relaxed structure of Cs2ThP3S9 (PBE-GGA).

```
Cs2ThP3S9
1.0
12.5555 0.0000 0.0000
-2.0454 12.4507 0.0000
-2.7764 -5.7816 11.0494
P S Cs Th
12 36 8 4
Cartesian
8.2173 -0.9400 4.8901 P
-0.4835 7.6091 6.1593 P
1.6448 -3.9333 8.2580 P
-1.1227 1.0947 10.9073 P
6.0890 10.6024 2.7914 P
8.8565 5.5743 0.1421 P
2.7358 2.4736 3.9493 P
2.0411 1.4295 2.0771 P
7.3398 4.4535 1.4031 P
5.6927 5.2396 8.9723 P
4.9979 4.1954 7.1001 P
0.3940 2.2156 9.6463 P
-0.4834 2.7883 7.9025 S
1.2000 2.9117 0.9606 S
3.6146 2.8676 7.8824 S
0.0453 7.9743 0.2224 S
8.2172 3.8807 3.1469 S
1.9192 0.8623 9.5713 S
9.0245 7.2274 1.3396 S
8.9064 0.9598 4.5086 S
2.6823 6.2779 1.4998 S
1.1661 3.2627 4.9461 S
7.0256 -0.3980 1.8177 S
7.6885 -1.3052 10.8270 S
5.8146 5.8068 1.4781 S
6.5677 3.4063 6.1033 S
5.0515 0.3911 9.5496 S
6.2257 -0.6552 5.2968 S
9.2329 -2.0089 6.2070 S
4.1192 3.8014 3.1670 S
7.9375 10.3412 2.0115 S
5.2026 8.7869 2.6738 S
1.5081 7.3243 5.7526 S
0.9287 -0.1769 2.4428 S
0.7082 7.0671 9.2317 S
-0.2037 -3.6721 9.0379 S
3.8924 1.0645 1.2406 S
3.8414 5.6046 9.8089 S
6.5240 2.7456 0.6137 S
6.5338 3.7573 10.0889 S
-1.1726 5.7093 6.5408 S
1.2098 3.9235 10.4357 S
2.5311 -2.1178 8.3756 S
3.7817 1.0291 4.9247 S
-1.4991 8.6780 4.8424 S
3.9521 5.6400 6.1248 S
6.8051 6.8460 8.6066 S
-1.2907 -0.5583 9.7098 S
7.6087 7.0323 4.9279 Cs
8.3575 1.1013 8.1698 Cs
-0.6237 5.5677 2.8796 Cs
1.7600 9.9508 3.0145 Cs
10.4141 1.2183 1.1373 Cs
-2.6803 5.4508 9.9121 Cs
5.9738 -3.2817 8.0349 Cs
0.1251 -0.3633 6.1215 Cs
1.5514 4.9660 7.5138 Th
3.9645 2.7009 10.9939 Th
6.1823 1.7031 3.5356 Th
3.7693 3.9682 0.0555 Th
```

Properties
space-group type	P-1 (2)
ΔE_f	-1.23	eV/atom

=====

[3]
Entry from Materials Project: a relaxed structure of EuH2 (PBE-GGA).

```
EuH2
1.0
3.7253 0.0000 0.0000
0.0000 6.1198 0.0000
0.0000 0.0000 7.0537
H Eu
8 4
Cartesian
2.7940 0.1565 4.7844 H
0.9313 2.1857 4.0182 H
0.9313 5.2456 6.5624 H
2.7940 3.9341 3.0355 H
0.9313 5.9633 2.2694 H
2.7940 0.8742 0.4913 H
2.7940 3.2164 5.7962 H
0.9313 2.9034 1.2575 H
2.7940 4.6415 0.8036 Eu
0.9313 1.4783 6.2501 Eu
2.7940 1.5816 2.7233 Eu
0.9313 4.5382 4.3305 Eu
```

Properties
space-group type	Pnma (62)
ΔE_f	-0.69	eV/atom

=====

[4]
Entry from Materials Project: a relaxed structure of Er5Sn18Rh6 (PBE-GGA).

```
Er5Sn18Rh6
1.0
-3.2327 -4.5793 8.1330
-8.2553 3.0905 4.4569
-8.1765 -5.5296 -0.3653
Sn Er Rh
18 5 6
Cartesian
-11.5598 -4.1257 7.1862 Sn
-14.2723 -8.9128 9.2994 Sn
-16.7733 -5.1173 12.2405 Sn
-14.7283 -2.2204 7.0954 Sn
-13.1963 -7.3887 6.5925 Sn
-11.5509 -7.0724 9.4210 Sn
-13.2462 -1.9355 9.6431 Sn
-11.5745 -4.4882 10.8666 Sn
-14.7020 -5.0894 5.4905 Sn
-8.6589 -5.2117 5.6200 Sn
-10.4238 -2.5166 4.3283 Sn
-18.4188 -5.4336 9.4120 Sn
-14.3221 -3.4596 12.3500 Sn
-14.7485 -5.2638 9.1684 Sn
-16.7471 -7.9863 10.6355 Sn
-17.4496 -4.0608 6.9738 Sn
-8.6866 -2.1827 7.3145 Sn
-4.9162 -1.7546 3.0561 Sn
0.0000 0.0000 0.0000 Er
-11.5259 -5.4701 4.3349 Er
-8.9578 -4.9765 8.7495 Er
-7.2786 -2.5977 4.5247 Er
-11.5669 -0.9924 6.8399 Er
-13.0668 -2.9847 5.1219 Rh
-9.0208 -4.4994 2.9375 Rh
-9.0594 -0.2746 5.3009 Rh
-6.5978 -4.0337 7.1026 Rh
-10.6438 -2.5190 9.2870 Rh
-10.6052 -6.7438 6.9236 Rh
```

Properties
space-group type	F-43m (216)
ΔE_f	-0.53	eV/atom